1.
# MgV2O2F6 PBE with a Hubbard U relaxed
# - Distance to the lowest polymorph of the same formula: 0.107 eV/atom
# - Calculated formation energy: -2.9793 eV per atom
# - Spin magnetization: 4.00 μB per cell
# - Calculated total energy: -6.034 eV/atom
data_MgV2O2F6
_cell_length_a 9.758
_cell_length_b 6.218
_cell_length_c 5.140
_cell_angle_alpha 90.00
_cell_angle_beta 90.02
_cell_angle_gamma 90.00
_space_group_name_H-M_alt 'C 1 2 1'
_space_group_IT_number 5
loop_
_space_group_symop_operation_xyz
'x,y,z'
'-x,y,-z'
'x+1/2,y+1/2,z'
'-x+1/2,y+1/2,-z'
loop_
_atom_site_label
_atom_site_type_symbol
_atom_site_fract_x
_atom_site_fract_y
_atom_site_fract_z
_atom_site_occupancy
Mg1 Mg 0.000 0.000 0.000 1
V1 V 0.000 0.493 0.000 1
V2 V 0.000 0.737 0.500 1
O1 O 0.093 0.709 0.186 1
F1 F 0.104 0.956 0.670 1
F2 F 0.109 0.255 0.116 1
F3 F 0.111 0.505 0.680 1

2.
# MgV4O8F4 PBE with a Hubbard U relaxed
# - Distance to the lowest polymorph of the same formula: 0.069 eV/atom
# - Calculated formation energy: -2.5770 eV per atom
# - Spin magnetization: 2.00 μB per cell
# - Calculated total energy: -6.756 eV/atom
data_MgV4O8F4
_cell_length_a 5.073
_cell_length_b 5.630
_cell_length_c 8.697
_cell_angle_alpha 90.98
_cell_angle_beta 91.28
_cell_angle_gamma 91.59
_space_group_name_H-M_alt 'P 1'
_space_group_IT_number 1
loop_
_space_group_symop_operation_xyz
'x,y,z'
loop_
_atom_site_label
_atom_site_type_symbol
_atom_site_fract_x
_atom_site_fract_y
_atom_site_fract_z
_atom_site_occupancy
Mg1 Mg 0.000 0.000 0.000 1
V1 V 0.030 0.491 0.053 1
V2 V 0.225 0.010 0.314 1
V3 V 0.519 0.281 0.798 1
V4 V 0.725 0.772 0.561 1
O1 O 0.006 0.989 0.454 1
O2 O 0.081 0.227 0.183 1
O3 O 0.164 0.776 0.176 1
O4 O 0.281 0.475 0.929 1
O5 O 0.504 0.789 0.415 1
O6 O 0.563 0.506 0.670 1
O7 O 0.687 0.999 0.690 1
O8 O 0.774 0.271 0.950 1
F1 F 0.000 0.574 0.548 1
F2 F 0.258 0.033 0.841 1
F3 F 0.497 0.219 0.352 1
F4 F 0.779 0.724 0.985 1

3.
# MgV4O5F7 PBE with a Hubbard U relaxed
# - Distance to the lowest polymorph of the same formula: 0.002 eV/atom
# - Calculated formation energy: -2.8827 eV per atom
# - Spin magnetization: 5.00 μB per cell
# - Calculated total energy: -6.566 eV/atom
data_MgV4O5F7
_cell_length_a 5.211
_cell_length_b 5.416
_cell_length_c 8.984
_cell_angle_alpha 105.63
_cell_angle_beta 90.24
_cell_angle_gamma 117.53
_space_group_name_H-M_alt 'P 1'
_space_group_IT_number 1
loop_
_space_group_symop_operation_xyz
'x,y,z'
loop_
_atom_site_label
_atom_site_type_symbol
_atom_site_fract_x
_atom_site_fract_y
_atom_site_fract_z
_atom_site_occupancy
Mg1 Mg 0.000 0.000 0.000 1
V1 V 0.201 0.368 0.395 1
V2 V 0.410 0.880 0.178 1
V3 V 0.649 0.368 0.872 1
V4 V 0.971 0.891 0.637 1
O1 O 0.140 0.099 0.522 1
O2 O 0.243 0.656 0.283 1
O3 O 0.256 0.140 0.206 1
O4 O 0.257 0.138 0.838 1
O5 O 0.749 0.648 0.788 1
F1 F 0.123 0.666 0.982 1
F2 F 0.133 0.623 0.584 1
F3 F 0.621 0.599 0.482 1
F4 F 0.640 0.674 0.070 1
F5 F 0.717 0.158 0.017 1
F6 F 0.742 0.111 0.714 1
F7 F 0.769 0.161 0.322 1

4.
# MgV4O5F7 PBE with a Hubbard U relaxed
# - Distance to the lowest polymorph of the same formula: 0.035 eV/atom
# - Calculated formation energy: -2.8489 eV per atom
# - Spin magnetization: 5.00 μB per cell
# - Calculated total energy: -6.532 eV/atom
data_MgV4O5F7
_cell_length_a 5.204
_cell_length_b 5.500
_cell_length_c 9.021
_cell_angle_alpha 72.37
_cell_angle_beta 89.49
_cell_angle_gamma 62.74
_space_group_name_H-M_alt 'P 1'
_space_group_IT_number 1
loop_
_space_group_symop_operation_xyz
'x,y,z'
loop_
_atom_site_label
_atom_site_type_symbol
_atom_site_fract_x
_atom_site_fract_y
_atom_site_fract_z
_atom_site_occupancy
Mg1 Mg 0.000 0.000 0.000 1
V1 V 0.007 0.059 0.632 1
V2 V 0.254 0.619 0.406 1
V3 V 0.411 0.148 0.145 1
V4 V 0.679 0.609 0.893 1
O1 O 0.044 0.331 0.076 1
O2 O 0.383 0.853 0.728 1
O3 O 0.405 0.835 0.326 1
O4 O 0.579 0.300 0.992 1
O5 O 0.995 0.860 0.519 1
F1 F 0.064 0.359 0.478 1
F2 F 0.433 0.856 0.028 1
F3 F 0.449 0.345 0.281 1
F4 F 0.562 0.343 0.581 1
F5 F 0.911 0.840 0.846 1
F6 F 0.930 0.822 0.215 1
F7 F 0.945 0.310 0.789 1

5.
# MgV4O5F7 PBE with a Hubbard U relaxed
# - Distance to the lowest polymorph of the same formula: 0.013 eV/atom
# - Calculated formation energy: -2.8717 eV per atom
# - Spin magnetization: 5.00 μB per cell
# - Calculated total energy: -6.555 eV/atom
data_MgV4O5F7
_cell_length_a 5.279
_cell_length_b 5.432
_cell_length_c 8.837
_cell_angle_alpha 90.74
_cell_angle_beta 105.42
_cell_angle_gamma 117.86
_space_group_name_H-M_alt 'P 1'
_space_group_IT_number 1
loop_
_space_group_symop_operation_xyz
'x,y,z'
loop_
_atom_site_label
_atom_site_type_symbol
_atom_site_fract_x
_atom_site_fract_y
_atom_site_fract_z
_atom_site_occupancy
Mg1 Mg 0.000 0.000 0.000 1
V1 V 0.232 0.163 0.404 1
V2 V 0.280 0.663 0.903 1
V3 V 0.707 0.860 0.628 1
V4 V 0.810 0.420 0.156 1
O1 O 0.008 0.205 0.197 1
O2 O 0.452 0.561 0.500 1
O3 O 0.604 0.811 0.821 1
O4 O 0.965 0.595 0.011 1
O5 O 0.969 0.064 0.499 1
F1 F 0.014 0.747 0.725 1
F2 F 0.082 0.254 0.828 1
F3 F 0.099 0.763 0.312 1
F4 F 0.432 0.073 0.015 1
F5 F 0.525 0.103 0.580 1
F6 F 0.532 0.601 0.097 1
F7 F 0.581 0.276 0.307 1

6.
# MgV4O4F8 PBE with a Hubbard U relaxed
# - Distance to the lowest polymorph of the same formula: 0.025 eV/atom
# - Calculated formation energy: -2.9160 eV per atom
# - Spin magnetization: 6.00 μB per cell
# - Calculated total energy: -6.434 eV/atom
data_MgV4O4F8
_cell_length_a 5.216
_cell_length_b 5.222
_cell_length_c 9.528
_cell_angle_alpha 76.07
_cell_angle_beta 75.05
_cell_angle_gamma 61.72
_space_group_name_H-M_alt 'P 1'
_space_group_IT_number 1
loop_
_space_group_symop_operation_xyz
'x,y,z'
loop_
_atom_site_label
_atom_site_type_symbol
_atom_site_fract_x
_atom_site_fract_y
_atom_site_fract_z
_atom_site_occupancy
Mg1 Mg 0.000 0.000 0.000 1
V1 V 0.176 0.097 0.683 1
V2 V 0.372 0.334 0.947 1
V3 V 0.582 0.552 0.212 1
V4 V 0.879 0.826 0.450 1
O1 O 0.155 0.269 0.838 1
O2 O 0.260 0.606 0.329 1
O3 O 0.501 0.042 0.571 1
O4 O 0.618 0.330 0.076 1
F1 F 0.083 0.863 0.583 1
F2 F 0.330 0.723 0.836 1
F3 F 0.352 0.945 0.080 1
F4 F 0.668 0.795 0.315 1
F5 F 0.775 0.081 0.835 1
F6 F 0.859 0.205 0.318 1
F7 F 0.903 0.448 0.580 1
F8 F 0.981 0.609 0.072 1

7.
# MgV6O5F19 PBE with a Hubbard U relaxed
# - Distance to the lowest polymorph of the same formula: 0.011 eV/atom
# - Calculated formation energy: -2.8653 eV per atom
# - Spin magnetization: 3.00 μB per cell
# - Calculated total energy: -5.924 eV/atom
data_MgV6O5F19
_cell_length_a 5.374
_cell_length_b 5.451
_cell_length_c 15.518
_cell_angle_alpha 100.11
_cell_angle_beta 90.03
_cell_angle_gamma 91.22
_space_group_name_H-M_alt 'P 1'
_space_group_IT_number 1
loop_
_space_group_symop_operation_xyz
'x,y,z'
loop_
_atom_site_label
_atom_site_type_symbol
_atom_site_fract_x
_atom_site_fract_y
_atom_site_fract_z
_atom_site_occupancy
Mg1 Mg 0.000 0.000 0.000 1
V1 V 0.237 0.652 0.810 1
V2 V 0.252 0.354 0.166 1
V3 V 0.281 0.952 0.493 1
V4 V 0.674 0.170 0.818 1
V5 V 0.724 0.819 0.164 1
V6 V 0.773 0.440 0.483 1
O1 O 0.450 0.613 0.166 1
O2 O 0.463 0.942 0.830 1
O3 O 0.505 0.434 0.836 1
O4 O 0.505 0.783 0.517 1
O5 O 0.941 0.196 0.459 1
F1 F 0.009 0.375 0.807 1
F2 F 0.022 0.033 0.135 1
F3 F 0.026 0.688 0.463 1
F4 F 0.135 0.049 0.595 1
F5 F 0.147 0.353 0.274 1
F6 F 0.177 0.726 0.936 1
F7 F 0.269 0.243 0.040 1
F8 F 0.306 0.596 0.698 1
F9 F 0.316 0.945 0.379 1
F10 F 0.465 0.271 0.511 1
F11 F 0.521 0.118 0.179 1
F12 F 0.639 0.466 0.380 1
F13 F 0.691 0.113 0.702 1
F14 F 0.708 0.807 0.042 1
F15 F 0.809 0.197 0.935 1
F16 F 0.822 0.539 0.596 1
F17 F 0.822 0.886 0.273 1
F18 F 0.944 0.533 0.141 1
F19 F 0.965 0.864 0.804 1

8.
# MgV4O5F7 PBE with a Hubbard U relaxed
# - Distance to the lowest polymorph of the same formula: 0.045 eV/atom
# - Calculated formation energy: -2.8391 eV per atom
# - Spin magnetization: 5.00 μB per cell
# - Calculated total energy: -6.522 eV/atom
data_MgV4O5F7
_cell_length_a 5.139
_cell_length_b 5.485
_cell_length_c 9.055
_cell_angle_alpha 92.20
_cell_angle_beta 105.74
_cell_angle_gamma 117.17
_space_group_name_H-M_alt 'P 1'
_space_group_IT_number 1
loop_
_space_group_symop_operation_xyz
'x,y,z'
loop_
_atom_site_label
_atom_site_type_symbol
_atom_site_fract_x
_atom_site_fract_y
_atom_site_fract_z
_atom_site_occupancy
Mg1 Mg 0.000 0.000 0.000 1
V1 V 0.153 0.010 0.391 1
V2 V 0.235 0.510 0.889 1
V3 V 0.659 0.247 0.161 1
V4 V 0.682 0.744 0.629 1
O1 O 0.006 0.899 0.565 1
O2 O 0.298 0.033 0.209 1
O3 O 0.401 0.603 0.732 1
O4 O 0.448 0.312 0.990 1
O5 O 0.929 0.166 0.319 1
F1 F 0.032 0.387 0.066 1
F2 F 0.418 0.825 0.465 1
F3 F 0.524 0.359 0.512 1
F4 F 0.593 0.879 0.031 1
F5 F 0.818 0.616 0.279 1
F6 F 0.867 0.118 0.787 1
F7 F 0.976 0.703 0.847 1